Computed, not measured: LiFe2F6 after structural relaxation at the PBE with a Hubbard U level of DFT.

a = 4.744 Å, b = 4.744 Å, c = 9.307 Å
α = 90.00°, β = 90.00°, γ = 90.00°
Fractional positions:
Li 0.000 0.000 0.000
Li 0.500 0.500 0.500
Fe 0.000 0.000 0.337
Fe 0.000 0.000 0.665
Fe 0.500 0.500 0.165
Fe 0.500 0.500 0.837
F 0.200 0.200 0.501
F 0.202 0.202 0.171
F 0.202 0.202 0.830
F 0.298 0.702 0.330
F 0.298 0.702 0.671
F 0.300 0.700 0.001
F 0.700 0.300 0.001
F 0.702 0.298 0.330
F 0.702 0.298 0.671
F 0.798 0.798 0.171
F 0.798 0.798 0.830
F 0.800 0.800 0.501

Properties
VASP energy (eV per atom): -5.28



Computed, not measured: LiFeF3 after structural relaxation at the PBE with a Hubbard U level of DFT.

a = 5.205 Å, b = 5.210 Å, c = 7.660 Å
α = 89.86°, β = 89.88°, γ = 60.36°
Fractional positions:
Li 0.000 0.000 0.000
Li 0.011 0.984 0.683
Li 0.677 0.653 0.599
Fe 0.008 0.992 0.333
Fe 0.345 0.321 0.685
Fe 0.673 0.662 0.013
F 0.028 0.290 0.531
F 0.311 0.674 0.528
F 0.313 0.724 0.154
F 0.350 0.965 0.828
F 0.687 0.324 0.824
F 0.698 0.996 0.529
F 0.729 0.958 0.157
F 0.963 0.315 0.157
F 0.991 0.673 0.825

Properties
VASP energy (eV per atom): -5.22



Computed, not measured: LiFeF3 after structural relaxation at the PBE with a Hubbard U level of DFT.

a = 4.991 Å, b = 8.720 Å, c = 10.590 Å
α = 90.00°, β = 90.00°, γ = 90.00°
Fractional positions:
Li 0.004 0.215 0.100
Li 0.004 0.285 0.600
Li 0.496 0.215 0.600
Li 0.496 0.285 0.100
Li 0.504 0.715 0.900
Li 0.504 0.785 0.400
Li 0.996 0.715 0.400
Li 0.996 0.785 0.900
Fe 0.007 0.086 0.363
Fe 0.007 0.414 0.863
Fe 0.493 0.086 0.863
Fe 0.493 0.414 0.363
Fe 0.507 0.586 0.637
Fe 0.507 0.914 0.137
Fe 0.993 0.586 0.137
Fe 0.993 0.914 0.637
F 0.196 0.095 0.544
F 0.196 0.405 0.044
F 0.226 0.584 0.304
F 0.226 0.916 0.804
F 0.250 0.250 0.276
F 0.250 0.250 0.776
F 0.250 0.750 0.047
F 0.250 0.750 0.547
F 0.274 0.584 0.804
F 0.274 0.916 0.304
F 0.304 0.095 0.044
F 0.304 0.405 0.544
F 0.696 0.595 0.456
F 0.696 0.905 0.956
F 0.726 0.084 0.696
F 0.726 0.416 0.196
F 0.750 0.250 0.453
F 0.750 0.250 0.953
F 0.750 0.750 0.224
F 0.750 0.750 0.724
F 0.774 0.084 0.196
F 0.774 0.416 0.696
F 0.804 0.595 0.956
F 0.804 0.905 0.456

Properties
VASP energy (eV per atom): -5.29



Computed, not measured: LiFeF3 after structural relaxation at the PBE with a Hubbard U level of DFT.

a = 5.272 Å, b = 5.368 Å, c = 10.055 Å
α = 95.36°, β = 100.39°, γ = 118.91°
Fractional positions:
Li 0.000 0.000 0.000
Li 0.070 0.433 0.876
Li 0.234 0.207 0.363
Li 0.809 0.206 0.500
Fe 0.272 0.969 0.685
Fe 0.458 0.779 0.185
Fe 0.609 0.626 0.681
Fe 0.781 0.448 0.181
F 0.015 0.022 0.808
F 0.051 0.696 0.054
F 0.192 0.515 0.295
F 0.206 0.238 0.552
F 0.357 0.696 0.798
F 0.368 0.386 0.063
F 0.534 0.902 0.573
F 0.554 0.172 0.314
F 0.671 0.355 0.793
F 0.707 0.060 0.073
F 0.866 0.836 0.292
F 0.881 0.582 0.570

Properties
VASP energy (eV per atom): -5.26



Computed, not measured: LiFe2F5 after structural relaxation at the PBE with a Hubbard U level of DFT.

a = 6.605 Å, b = 8.174 Å, c = 8.476 Å
α = 90.31°, β = 90.39°, γ = 90.34°
Fractional positions:
Li 0.000 0.000 0.000
Li 0.002 0.155 0.499
Li 0.504 0.501 0.132
Li 0.506 0.656 0.634
Fe 0.002 0.435 0.154
Fe 0.008 0.720 0.653
Fe 0.252 0.331 0.816
Fe 0.254 0.828 0.315
Fe 0.498 0.946 0.972
Fe 0.500 0.222 0.478
Fe 0.752 0.828 0.315
Fe 0.754 0.330 0.815
F 0.002 0.219 0.930
F 0.003 0.675 0.236
F 0.004 0.481 0.734
F 0.007 0.937 0.428
F 0.008 0.290 0.328
F 0.248 0.188 0.615
F 0.248 0.965 0.109
F 0.258 0.465 0.021
F 0.260 0.688 0.519
F 0.500 0.714 0.210
F 0.502 0.184 0.902
F 0.503 0.436 0.700
F 0.503 0.982 0.397
F 0.508 0.365 0.304
F 0.512 0.777 0.817
F 0.747 0.694 0.520
F 0.748 0.467 0.019
F 0.758 0.190 0.613
F 0.758 0.957 0.108
F 0.996 0.869 0.824

Properties
VASP energy (eV per atom): -5.36



Computed, not measured: LiFe2F7 after structural relaxation at the PBE with a Hubbard U level of DFT.

a = 10.116 Å, b = 7.570 Å, c = 8.016 Å
α = 90.00°, β = 90.00°, γ = 90.00°
Fractional positions:
Li 0.143 0.130 0.000
Li 0.357 0.630 0.500
Li 0.643 0.370 0.000
Li 0.857 0.870 0.500
Fe 0.102 0.546 0.171
Fe 0.119 0.182 0.429
Fe 0.381 0.682 0.929
Fe 0.398 0.046 0.671
Fe 0.602 0.954 0.171
Fe 0.619 0.318 0.429
Fe 0.881 0.818 0.929
Fe 0.898 0.454 0.671
F 0.017 0.362 0.313
F 0.029 0.977 0.478
F 0.045 0.302 0.638
F 0.120 0.380 0.004
F 0.194 0.110 0.229
F 0.213 0.713 0.038
F 0.228 0.557 0.340
F 0.272 0.057 0.840
F 0.287 0.213 0.538
F 0.306 0.610 0.729
F 0.380 0.880 0.504
F 0.455 0.802 0.138
F 0.471 0.477 0.978
F 0.483 0.862 0.813
F 0.517 0.138 0.313
F 0.529 0.523 0.478
F 0.545 0.198 0.638
F 0.620 0.120 0.004
F 0.694 0.390 0.229
F 0.713 0.787 0.038
F 0.728 0.943 0.340
F 0.772 0.443 0.840
F 0.787 0.287 0.538
F 0.806 0.890 0.729
F 0.880 0.620 0.504
F 0.955 0.698 0.138
F 0.971 0.023 0.978
F 0.983 0.638 0.813

Properties
VASP energy (eV per atom): -5.11



Number 1: ΔH_f (0 K) -2719.9 meV per atom, relative energy among the computed polymorphs 0.30 eV per formula unit. Number 2: ΔH_f (0 K) -2728.0 meV per atom, relative energy among the computed polymorphs 0.34 eV per formula unit. Number 3: ΔH_f (0 K) -2791.4 meV per atom, relative energy among the computed polymorphs 0.03 eV per formula unit. Number 4: ΔH_f (0 K) -2768.3 meV per atom, relative energy among the computed polymorphs 0.14 eV per formula unit. Number 5: ΔH_f (0 K) -2663.8 meV per atom, relative energy among the computed polymorphs 0.23 eV per formula unit. Number 6: ΔH_f (0 K) -2661.8 meV per atom, relative energy among the computed polymorphs 0.77 eV per formula unit.